(1)
## PdCN2 (PBE-GGA)

Data for a relaxed structure of PdCN2.

Values from the calculation:
Magnetic moment in μB per formula unit: 0.0

a b c (Å): 3.074 4.261 5.196
angles (deg): 90.00 90.00 111.14
Element x y z (fractional)
Pd 0.000 0.000 0.000
C 0.500 0.000 0.500
N 0.500 0.000 0.263
N 0.500 0.000 0.737

=====

(2)
## ZrP4O12 (PBE-GGA)

Data for a relaxed structure of ZrP4O12.

Values from the calculation:
Relative energy among the computed polymorphs in kJ/mol of formula units: 14
Magnetic moment in μB per formula unit: 0.1

a b c (Å): 16.177 16.177 8.817
angles (deg): 89.99 89.99 129.93
Element x y z (fractional)
Zr 0.915 0.551 0.751
Zr 0.449 0.085 0.749
Zr 0.932 0.068 0.750
Zr 0.431 0.569 0.750
Zr 0.068 0.932 0.250
Zr 0.551 0.915 0.251
Zr 0.569 0.431 0.250
Zr 0.085 0.449 0.249
P 0.868 0.347 0.504
P 0.183 0.982 0.634
P 0.152 0.128 0.525
P 0.367 0.853 0.527
P 0.325 0.021 0.128
P 0.350 0.363 0.489
P 0.853 0.367 0.027
P 0.675 0.979 0.872
P 0.176 0.485 0.864
P 0.979 0.675 0.372
P 0.021 0.325 0.628
P 0.653 0.132 0.996
P 0.982 0.183 0.134
P 0.018 0.817 0.866
P 0.132 0.653 0.496
P 0.872 0.848 0.975
P 0.817 0.018 0.366
P 0.650 0.637 0.511
P 0.147 0.633 0.973
P 0.332 0.518 0.369
P 0.515 0.824 0.636
P 0.637 0.650 0.011
P 0.347 0.868 0.004
P 0.128 0.152 0.025
P 0.633 0.147 0.473
P 0.363 0.350 0.989
P 0.518 0.332 0.869
P 0.668 0.482 0.631
P 0.848 0.872 0.475
P 0.824 0.515 0.136
P 0.482 0.668 0.131
P 0.485 0.176 0.364
O 0.086 0.914 0.750
O 0.848 0.906 0.632
O 0.585 0.657 0.593
O 0.300 0.401 0.379
O 0.587 0.929 0.737
O 0.082 0.376 0.484
O 0.240 0.766 0.553
O 0.399 0.850 0.368
O 0.796 0.906 0.359
O 0.505 0.242 0.792
O 0.415 0.343 0.407
O 0.148 0.934 0.479
O 0.280 0.005 0.708
O 0.952 0.905 0.413
O 0.959 0.403 0.081
O 0.905 0.952 0.913
O 0.934 0.148 0.979
O 0.066 0.852 0.021
O 0.299 0.906 0.118
O 0.906 0.848 0.132
O 0.906 0.299 0.618
O 0.254 0.240 0.049
O 0.398 0.944 0.870
O 0.403 0.959 0.581
O 0.944 0.398 0.370
O 0.597 0.041 0.419
O 0.598 0.560 0.376
O 0.094 0.701 0.382
O 0.701 0.094 0.882
O 0.624 0.918 0.016
O 0.242 0.505 0.292
O 0.094 0.152 0.868
O 0.048 0.095 0.587
O 0.071 0.413 0.763
O 0.152 0.094 0.368
O 0.601 0.150 0.632
O 0.403 0.803 0.641
O 0.602 0.056 0.130
O 0.560 0.598 0.876
O 0.848 0.414 0.583
O 0.197 0.597 0.859
O 0.557 0.849 0.477
O 0.770 0.996 0.810
O 0.343 0.415 0.907
O 0.850 0.399 0.868
O 0.720 0.995 0.292
O 0.495 0.758 0.208
O 0.094 0.204 0.141
O 0.760 0.746 0.451
O 0.240 0.254 0.549
O 0.204 0.094 0.641
O 0.374 0.575 0.517
O 0.504 0.267 0.276
O 0.571 0.429 0.750
O 0.995 0.720 0.792
O 0.005 0.280 0.208
O 0.230 0.004 0.190
O 0.929 0.587 0.237
O 0.004 0.230 0.690
O 0.376 0.082 0.984
O 0.041 0.597 0.919
O 0.803 0.403 0.141
O 0.234 0.760 0.947
O 0.443 0.151 0.523
O 0.575 0.374 0.017
O 0.152 0.586 0.417
O 0.599 0.700 0.121
O 0.760 0.234 0.447
O 0.996 0.770 0.310
O 0.429 0.571 0.250
O 0.056 0.602 0.630
O 0.852 0.066 0.521
O 0.766 0.240 0.053
O 0.733 0.496 0.224
O 0.657 0.585 0.093
O 0.626 0.425 0.483
O 0.425 0.626 0.983
O 0.496 0.733 0.724
O 0.414 0.848 0.083
O 0.151 0.443 0.023
O 0.746 0.760 0.951
O 0.586 0.152 0.917
O 0.413 0.071 0.263
O 0.700 0.599 0.621
O 0.267 0.504 0.776
O 0.150 0.601 0.132
O 0.402 0.440 0.624
O 0.597 0.197 0.359
O 0.095 0.048 0.087
O 0.906 0.796 0.859
O 0.758 0.495 0.708
O 0.401 0.300 0.879
O 0.914 0.086 0.250
O 0.440 0.402 0.124
O 0.849 0.557 0.977
O 0.918 0.624 0.516

=====

(3)
## Cr5InSe8 (PBE-GGA)

Data for a relaxed structure of Cr5InSe8.

Values from the calculation:
Magnetic moment in μB per formula unit: 15.0

a b c (Å): 9.621 9.621 9.046
angles (deg): 75.71 75.71 22.04
Element x y z (fractional)
Cr 0.000 0.000 0.500
Cr 0.296 0.296 0.835
Cr 0.704 0.704 0.165
Cr 0.342 0.342 0.480
Cr 0.658 0.658 0.520
In 0.500 0.500 0.000
Se 0.170 0.170 0.009
Se 0.830 0.830 0.991
Se 0.239 0.239 0.342
Se 0.761 0.761 0.658
Se 0.086 0.086 0.674
Se 0.914 0.914 0.326
Se 0.426 0.426 0.659
Se 0.574 0.574 0.341

=====

(4)
## KPuO3 (PBE-GGA)

Data for a relaxed structure of KPuO3.

a b c (Å): 4.282 4.282 4.282
angles (deg): 90.00 90.00 90.00
Element x y z (fractional)
K 0.000 0.000 0.000
Pu 0.500 0.500 0.500
O 0.500 0.500 0.000
O 0.500 0.000 0.500
O 0.000 0.500 0.500

=====

(5)
## InCuTe2 (PBE-GGA)

Data for a relaxed structure of InCuTe2.

a b c (Å): 4.460 4.460 6.293
angles (deg): 90.00 90.00 90.00
Element x y z (fractional)
In 0.500 0.500 0.500
Cu 0.000 0.000 0.000
Te 0.000 0.500 0.216
Te 0.500 0.000 0.784

=====

(6)
## Er2Ni2Sn (PBE-GGA)

Data for a relaxed structure of Er2Ni2Sn.

a b c (Å): 7.257 7.257 3.667
angles (deg): 90.00 90.00 90.00
Element x y z (fractional)
Er 0.674 0.174 0.500
Er 0.326 0.826 0.500
Er 0.174 0.326 0.500
Er 0.826 0.674 0.500
Ni 0.879 0.379 0.000
Ni 0.121 0.621 0.000
Ni 0.379 0.121 0.000
Ni 0.621 0.879 0.000
Sn 0.500 0.500 0.000
Sn 0.000 0.000 0.000

=====

(7)
## Rb2Na2MgTi2O6 (PBE-GGA)

Data for a relaxed structure of Rb2Na2MgTi2O6.

Values from the calculation:
Relative energy among the computed polymorphs in kJ/mol of formula units: 0
Magnetic moment in μB per formula unit: 0.0

a b c (Å): 5.823 6.806 6.214
angles (deg): 63.79 94.55 95.65
Element x y z (fractional)
Rb 0.216 0.367 0.499
Rb 0.784 0.633 0.501
Na 0.224 0.636 0.865
Na 0.776 0.364 0.135
Mg 0.500 0.000 0.500
Ti 0.760 0.029 0.912
Ti 0.240 0.971 0.088
O 0.038 0.214 0.962
O 0.405 0.967 0.828
O 0.761 0.178 0.571
O 0.962 0.786 0.038
O 0.595 0.033 0.172
O 0.239 0.822 0.429

=====

(8)
## K4TeP4H10O20 (PBE-GGA)

Data for a relaxed structure of K4TeP4H10O20.

Values from the calculation:
Magnetic moment in μB per formula unit: 0.0

a b c (Å): 7.624 7.624 17.468
angles (deg): 84.23 84.23 99.52
Element x y z (fractional)
K 0.924 0.076 0.750
K 0.076 0.924 0.250
K 0.791 0.547 0.431
K 0.453 0.209 0.069
K 0.209 0.453 0.569
K 0.547 0.791 0.931
K 0.710 0.290 0.250
K 0.290 0.710 0.750
Te 0.000 0.000 0.000
Te 0.000 0.000 0.500
P 0.365 0.653 0.136
P 0.347 0.635 0.364
P 0.635 0.347 0.864
P 0.653 0.365 0.636
P 0.234 0.360 0.263
P 0.640 0.766 0.237
P 0.766 0.640 0.737
P 0.360 0.234 0.763
H 0.815 0.135 0.592
H 0.865 0.185 0.908
H 0.185 0.865 0.408
H 0.135 0.815 0.092
H 0.028 0.259 0.401
H 0.741 0.972 0.099
H 0.972 0.741 0.599
H 0.259 0.028 0.901
H 0.732 0.978 0.429
H 0.022 0.268 0.071
H 0.268 0.022 0.571
H 0.978 0.732 0.929
H 0.446 0.104 0.425
H 0.896 0.554 0.075
H 0.554 0.896 0.575
H 0.104 0.446 0.925
H 0.573 0.199 0.477
H 0.801 0.427 0.023
H 0.427 0.801 0.523
H 0.199 0.573 0.977
O 0.797 0.010 0.575
O 0.990 0.203 0.925
O 0.203 0.990 0.425
O 0.010 0.797 0.075
O 0.009 0.251 0.459
O 0.749 0.991 0.041
O 0.991 0.749 0.541
O 0.251 0.009 0.959
O 0.837 0.915 0.426
O 0.085 0.163 0.074
O 0.163 0.085 0.574
O 0.915 0.837 0.926
O 0.535 0.219 0.704
O 0.781 0.465 0.796
O 0.465 0.781 0.296
O 0.219 0.535 0.204
O 0.649 0.552 0.672
O 0.448 0.351 0.828
O 0.351 0.448 0.328
O 0.552 0.649 0.172
O 0.560 0.372 0.564
O 0.628 0.440 0.936
O 0.440 0.628 0.436
O 0.372 0.560 0.064
O 0.838 0.319 0.631
O 0.681 0.162 0.869
O 0.162 0.681 0.369
O 0.319 0.838 0.131
O 0.047 0.285 0.301
O 0.715 0.953 0.199
O 0.953 0.715 0.699
O 0.285 0.047 0.801
O 0.759 0.656 0.275
O 0.344 0.241 0.225
O 0.241 0.344 0.725
O 0.656 0.759 0.775
O 0.575 0.145 0.428
O 0.855 0.425 0.072
O 0.425 0.855 0.572
O 0.145 0.575 0.928

=====

(9)
## SnH10Br4O5 (PBE-GGA)

Data for a relaxed structure of SnH10Br4O5.

Values from the calculation:
Magnetic moment in μB per formula unit: 0.0

a b c (Å): 8.332 8.332 9.105
angles (deg): 78.94 78.94 77.13
Element x y z (fractional)
Sn 0.263 0.737 0.750
Sn 0.737 0.263 0.250
H 0.320 0.475 0.001
H 0.525 0.680 0.499
H 0.680 0.525 0.999
H 0.475 0.320 0.501
H 0.391 0.395 0.838
H 0.605 0.609 0.662
H 0.609 0.605 0.162
H 0.395 0.391 0.338
H 0.216 0.595 0.214
H 0.405 0.784 0.286
H 0.784 0.405 0.786
H 0.595 0.216 0.714
H 0.154 0.427 0.224
H 0.573 0.846 0.276
H 0.846 0.573 0.776
H 0.427 0.154 0.724
H 0.159 0.892 0.164
H 0.108 0.841 0.336
H 0.841 0.108 0.836
H 0.892 0.159 0.664
Br 0.137 0.578 0.598
Br 0.422 0.863 0.902
Br 0.863 0.422 0.402
Br 0.578 0.137 0.098
Br 0.985 0.784 0.936
Br 0.216 0.015 0.564
Br 0.015 0.216 0.064
Br 0.784 0.985 0.436
O 0.347 0.497 0.887
O 0.503 0.653 0.613
O 0.653 0.503 0.113
O 0.497 0.347 0.387
O 0.255 0.476 0.200
O 0.524 0.745 0.300
O 0.745 0.524 0.800
O 0.476 0.255 0.700
O 0.191 0.809 0.250
O 0.809 0.191 0.750

=====

(10)
## Sr2CeO4 (PBE-GGA)

Data for a relaxed structure of Sr2CeO4.

a b c (Å): 3.635 6.156 10.464
angles (deg): 90.00 90.00 90.00
Element x y z (fractional)
Sr 0.500 0.437 0.179
Sr 0.500 0.563 0.821
Sr 0.500 0.937 0.321
Sr 0.500 0.063 0.679
Ce 0.000 0.500 0.500
Ce 0.000 0.000 0.000
O 0.500 0.273 0.458
O 0.500 0.727 0.542
O 0.500 0.773 0.042
O 0.500 0.227 0.958
O 0.000 0.643 0.307
O 0.000 0.357 0.693
O 0.000 0.857 0.807
O 0.000 0.143 0.193

=====

no.,energy of formation from the pure elements (eV/atom),calculated volume (Å³/atom),uncorrected energy (eV/cell)
1,0.262,15.9,-29.313
2,-2.842,13.0,-1037.182
3,-0.776,21.7,-86.075
4,-3.020,15.7,-43.262
5,-0.480,31.3,-14.213
6,-0.609,19.3,-55.498
7,-2.338,16.9,-77.957
8,-2.001,12.7,-452.864
9,-1.111,14.9,-176.029
10,-3.494,16.7,-101.621